--- a ---
First-principles (PBE+U) data for a geometry-optimized Co2C2O7 structure, as listed in the Materials Project.

abc: 4.8894 4.8894 15.9336
angles: 90.84 90.84 119.89
Last column: nearest neighbours and their distance in Å.
Sites, in units of the cell vectors:
1 Co 0.1577 0.8290 0.8621  4 O 1.79-1.91
2 Co 0.1710 0.8423 0.6379  4 O 1.79-1.91
3 Co 0.8290 0.1577 0.3621  4 O 1.79-1.91
4 Co 0.8423 0.1710 0.1379  4 O 1.79-1.91
5 C 0.1646 0.8315 0.4029  3 O 1.29-1.30
6 C 0.1685 0.8354 0.0971  3 O 1.29-1.30
7 C 0.8315 0.1646 0.9029  3 O 1.29-1.30
8 C 0.8354 0.1685 0.5971  3 O 1.29-1.30
9 O 0.0893 0.1513 0.9068  1 C 1.29
10 O 0.0939 0.4367 0.5998  1 C 1.29
11 O 0.1513 0.0893 0.4068  1 C 1.29
12 O 0.1560 0.5636 0.0973  1 C 1.30
13 O 0.1665 0.8335 0.7500  2 Co 1.79
14 O 0.4364 0.8440 0.4027  1 C 1.30
15 O 0.4367 0.0939 0.0998  1 C 1.29
16 O 0.5633 0.9061 0.9002  1 C 1.29
17 O 0.5636 0.1560 0.5973  1 C 1.30
18 O 0.8335 0.1665 0.2500  2 Co 1.79
19 O 0.8440 0.4364 0.9027  1 C 1.30
20 O 0.8487 0.9107 0.5932  1 C 1.29
21 O 0.9061 0.5633 0.4002  1 C 1.29
22 O 0.9107 0.8487 0.0932  1 C 1.29

- V (Å³ per atom) = 15.00
- total moment (μB per cell) = 16.000

=====

--- b ---
First-principles (PBE+U) data for a geometry-optimized Co2C2O7 structure, as listed in the Materials Project.

abc: 8.0465 7.8804 11.4073
angles: 90.00 101.33 90.00
Last column: nearest neighbours and their distance in Å.
Sites, in units of the cell vectors:
1 Co 0.1416 0.1273 0.1171  4 O 1.79-1.92
2 Co 0.1416 0.3727 0.6171  4 O 1.79-1.92
3 Co 0.2962 0.5681 0.8742  4 O 1.79-1.94
4 Co 0.2962 0.9319 0.3742  4 O 1.79-1.94
5 Co 0.7038 0.0681 0.6258  4 O 1.79-1.94
6 Co 0.7038 0.4319 0.1258  4 O 1.79-1.94
7 Co 0.8584 0.6273 0.3829  4 O 1.79-1.92
8 Co 0.8584 0.8727 0.8829  4 O 1.79-1.92
9 C 0.2256 0.6214 0.4537  3 O 1.28-1.32
10 C 0.2256 0.8786 0.9537  3 O 1.28-1.32
11 C 0.3387 0.0862 0.6044  3 O 1.29-1.30
12 C 0.3387 0.4138 0.1044  3 O 1.29-1.30
13 C 0.6613 0.5862 0.8956  3 O 1.29-1.30
14 C 0.6613 0.9138 0.3956  3 O 1.29-1.30
15 C 0.7744 0.1214 0.0463  3 O 1.28-1.32
16 C 0.7744 0.3786 0.5463  3 O 1.28-1.32
17 O 0.0808 0.7036 0.4405  1 C 1.32
18 O 0.0808 0.7964 0.9405  1 C 1.32
19 O 0.1617 0.5318 0.7316  2 Co 1.79
20 O 0.1617 0.9682 0.2316  2 Co 1.79
21 O 0.2400 0.0638 0.5004  1 C 1.30
22 O 0.2400 0.4362 0.0004  1 C 1.30
23 O 0.2433 0.0316 0.9931  1 C 1.28
24 O 0.2433 0.4684 0.4931  1 C 1.28
25 O 0.2906 0.1901 0.6789  1 C 1.29
26 O 0.2906 0.3099 0.1789  1 C 1.29
27 O 0.3530 0.7013 0.4270  1 C 1.29
28 O 0.3530 0.7987 0.9270  1 C 1.29
29 O 0.4775 0.0010 0.6334  1 C 1.29
30 O 0.4775 0.4990 0.1334  1 C 1.29
31 O 0.5225 0.5010 0.8666  1 C 1.29
32 O 0.5225 0.9990 0.3666  1 C 1.29
33 O 0.6470 0.2013 0.0730  1 C 1.29
34 O 0.6470 0.2987 0.5730  1 C 1.29
35 O 0.7094 0.6901 0.8211  1 C 1.29
36 O 0.7094 0.8099 0.3211  1 C 1.29
37 O 0.7567 0.5316 0.5069  1 C 1.28
38 O 0.7567 0.9684 0.0069  1 C 1.28
39 O 0.7600 0.5638 0.9996  1 C 1.30
40 O 0.7600 0.9362 0.4996  1 C 1.30
41 O 0.8383 0.0318 0.7684  2 Co 1.79
42 O 0.8383 0.4682 0.2684  2 Co 1.79
43 O 0.9192 0.2036 0.0595  1 C 1.32
44 O 0.9192 0.2964 0.5595  1 C 1.32

- V (Å³ per atom) = 16.12
- total moment (μB per cell) = 32.000

=====

What should be chosen as the most stable of them? Choose b.

=====

--- a ---
First-principles (PBE+U) data for a geometry-optimized CaLaFeBiO6 structure, as listed in the Materials Project.

abc: 5.6936 5.9013 9.9343
angles: 90.00 124.20 90.00
Last column: nearest neighbours and their distance in Å.
Sites, in units of the cell vectors:
1 Ca 0.0000 0.1944 0.0000  6 O 2.38-2.63
2 Ca 0.0000 0.8056 0.5000  6 O 2.38-2.63
3 La 0.5393 0.3043 0.5023  6 O 2.39-2.67
4 La 0.5393 0.6957 0.0023  6 O 2.39-2.67
5 Fe 0.7723 0.2481 0.2507  6 O 2.03-2.07
6 Fe 0.7723 0.7519 0.7507  6 O 2.03-2.07
7 Bi 0.2728 0.2470 0.7526  6 O 2.24-2.28
8 Bi 0.2728 0.7530 0.2526  6 O 2.24-2.28
9 O 0.1198 0.2019 0.4875  1 Fe 2.07, 1 Bi 2.28
10 O 0.1198 0.7981 0.9875  1 Fe 2.07, 1 Bi 2.28
11 O 0.4189 0.2933 0.0152  1 Fe 2.07, 1 Bi 2.27
12 O 0.4189 0.7067 0.5152  1 Fe 2.07, 1 Bi 2.27
13 O 0.5480 0.0582 0.3112  1 Fe 2.03, 1 Bi 2.24
14 O 0.5480 0.9418 0.8112  1 Fe 2.03, 1 Bi 2.24
15 O 0.6478 0.4636 0.8127  1 Fe 2.07, 1 Bi 2.26
16 O 0.6478 0.5364 0.3127  1 Fe 2.07, 1 Bi 2.26
17 O 0.8955 0.0335 0.6876  1 Fe 2.04, 1 Bi 2.25
18 O 0.8955 0.9665 0.1876  1 Fe 2.04, 1 Bi 2.25
19 O 0.9987 0.4408 0.1922  1 Fe 2.03, 1 Bi 2.27
20 O 0.9987 0.5592 0.6922  1 Fe 2.03, 1 Bi 2.27

- V (Å³ per atom) = 13.80

=====

--- b ---
First-principles (PBE+U) data for a geometry-optimized CaLaFeBiO6 structure, as listed in the Materials Project.

abc: 5.9092 5.9092 5.9092
angles: 121.71 121.71 87.07
Last column: nearest neighbours and their distance in Å.
Sites, in units of the cell vectors:
1 Ca 0.0000 0.0000 0.0000  4 O 2.55
2 La 0.7500 0.2500 0.5000  6 O 2.27-2.38
3 Fe 0.2500 0.7500 0.5000  6 O 1.95-2.01
4 Bi 0.5000 0.5000 0.0000  4 O 2.48
5 O 0.0155 0.5155 0.5000  1 Fe 2.01
6 O 0.1227 0.0668 0.6809  1 Fe 1.95
7 O 0.3859 0.4418 0.3191  1 Fe 1.95
8 O 0.4845 0.9845 0.5000  1 Fe 2.01
9 O 0.5582 0.8773 0.9440  1 Fe 1.95
10 O 0.9332 0.6141 0.0560  1 Fe 1.95

- V (Å³ per atom) = 14.19
- total moment (μB per cell) = 4.000

=====

--- c ---
First-principles (PBE+U) data for a geometry-optimized CaLaFeBiO6 structure, as listed in the Materials Project.

abc: 5.8454 5.8454 5.8454
angles: 60.00 60.00 60.00
Last column: nearest neighbours and their distance in Å.
Sites, in units of the cell vectors:
1 Ca 0.0000 0.0000 0.0000  12 O 2.92
2 La 0.5000 0.5000 0.5000  12 O 2.92
3 Fe 0.7500 0.7500 0.7500  6 O 1.97
4 Bi 0.2500 0.2500 0.2500  6 O 2.16
5 O 0.5119 0.5119 0.9881  1 Fe 1.97, 1 Bi 2.16
6 O 0.5119 0.9881 0.5119  1 Fe 1.97, 1 Bi 2.16
7 O 0.5119 0.9881 0.9881  1 Fe 1.97, 1 Bi 2.16
8 O 0.9881 0.5119 0.5119  1 Fe 1.97, 1 Bi 2.16
9 O 0.9881 0.5119 0.9881  1 Fe 1.97, 1 Bi 2.16
10 O 0.9881 0.9881 0.5119  1 Fe 1.97, 1 Bi 2.16

- V (Å³ per atom) = 14.12
- total moment (μB per cell) = 4.130

=====

What should be chosen as the most stable of them? Choose a.